1.
Material: Mg3Si4
Method: DFT, PBE-GGA
State: optimized geometry

Cell lengths 3.589, 7.806, 9.766 Å; angles 68.31, 80.64, 78.16 degrees
Fractional positions:
Mg: 0.005 0.750 0.284
Si: 0.969 0.546 0.599
Mg: 0.270 0.624 0.844
Si: 0.697 0.921 0.725
Si: 0.783 0.396 0.060
Si: 0.379 0.799 0.533
Si: 0.204 0.414 0.235
Mg: 0.151 0.186 0.573
Mg: 0.417 0.082 0.109
Si: 0.632 0.728 0.052
Mg: 0.527 0.274 0.790
Mg: 0.790 0.109 0.359
Si: 0.576 0.464 0.430
Si: 0.100 0.959 0.907

Summary:
For the energy of formation, the calculation gives 0.2074 eV per atom. Its offset from the most stable computed form is 114 meV per atom. Its space-group type is No. 1.

***

2.
Material: Mg3Si4
Method: DFT, PBE-GGA
State: optimized geometry

Cell lengths 3.610, 7.074, 9.737 Å; angles 83.94, 90.00, 90.00 degrees
Fractional positions:
Si: 0.500 0.025 0.258
Si: 0.000 0.909 0.429
Si: 0.000 0.565 0.924
Mg: 0.500 0.148 0.563
Si: 0.000 0.745 0.204
Mg: 0.000 0.203 0.049
Si: 0.500 0.338 0.821
Si: 0.500 0.519 0.137
Si: 0.000 0.434 0.635
Mg: 0.000 0.316 0.329
Si: 0.000 0.070 0.786
Mg: 0.500 0.874 0.984
Mg: 0.500 0.743 0.703
Mg: 0.500 0.611 0.425

Summary:
For the energy of formation, the calculation gives 0.2120 eV per atom. Its offset from the most stable computed form is 118 meV per atom. Its space-group type is No. 6.

***

3.
Material: Mg4Si7
Method: DFT, PBE-GGA
State: optimized geometry

Cell lengths 4.620, 6.149, 13.846 Å; angles 89.70, 90.00, 90.00 degrees
Fractional positions:
Si: 0.000 0.893 0.834
Si: 0.500 0.336 0.126
Si: 0.000 0.307 0.916
Mg: 0.500 0.984 0.726
Si: 0.000 0.961 0.282
Mg: 0.000 0.375 0.540
Mg: 0.500 0.717 0.541
Si: 0.000 0.258 0.743
Mg: 0.500 0.580 0.861
Si: 0.000 0.660 0.694
Si: 0.000 0.959 0.579
Mg: 0.500 0.115 0.420
Si: 0.000 0.330 0.346
Mg: 0.000 0.563 0.173
Si: 0.500 0.795 0.045
Mg: 0.500 0.585 0.322
Si: 0.500 0.420 0.680
Mg: 0.000 0.090 0.089
Si: 0.500 0.169 0.966
Si: 0.000 0.753 0.426
Si: 0.500 0.972 0.207
Si: 0.000 0.683 0.979

Summary:
For the energy of formation, the calculation gives 0.1974 eV per atom. Its offset from the most stable computed form is 51 meV per atom. Its space-group type is No. 6.

***

4.
Material: Mg3Si4
Method: DFT, PBE-GGA
State: optimized geometry

Cell lengths 5.585, 7.284, 7.700 Å; angles 110.23, 103.09, 101.71 degrees
Fractional positions:
Si: 0.576 0.568 0.126
Mg: 0.162 0.184 0.849
Si: 0.548 0.006 0.740
Si: 0.140 0.547 0.134
Si: 0.369 0.102 0.476
Si: 0.115 0.340 0.568
Mg: 0.759 0.437 0.783
Mg: 0.473 0.497 0.428
Mg: 0.038 0.706 0.467
Si: 0.702 0.154 0.321
Mg: 0.950 0.891 0.145
Si: 0.731 0.276 0.069
Mg: 0.343 0.728 0.883
Si: 0.836 0.810 0.758

Summary:
For the energy of formation, the calculation gives 0.1301 eV per atom. Its offset from the most stable computed form is 36 meV per atom. Its space-group type is No. 1.

***

5.
Material: Mg4Si7
Method: DFT, PBE-GGA
State: optimized geometry

Cell lengths 14.782, 4.407, 5.803 Å; angles 90.00, 88.89, 81.46 degrees
Fractional positions:
Si: 0.672 0.203 0.486
Mg: 0.388 0.841 0.186
Si: 0.024 0.019 0.493
Si: 0.932 0.560 0.498
Mg: 0.351 0.859 0.693
Mg: 0.601 0.740 0.211
Si: 0.843 0.104 0.718
Mg: 0.848 0.111 0.214
Mg: 0.567 0.751 0.720
Si: 0.021 0.012 0.919
Mg: 0.477 0.298 0.453
Si: 0.932 0.568 0.922
Si: 0.283 0.393 0.408
Mg: 0.132 0.466 0.707
Si: 0.670 0.208 0.919
Si: 0.194 0.941 0.409
Si: 0.195 0.932 0.990
Mg: 0.088 0.484 0.204
Si: 0.472 0.297 0.950
Si: 0.289 0.387 0.988
Si: 0.759 0.658 0.491
Si: 0.758 0.667 0.923

Summary:
For the energy of formation, the calculation gives 0.2227 eV per atom. Its offset from the most stable computed form is 77 meV per atom. Its space-group type is No. 1.

***

6.
Material: Mg2Si3
Method: DFT, PBE-GGA
State: optimized geometry

Cell lengths 3.841, 5.254, 19.558 Å; angles 93.14, 94.69, 110.97 degrees
Fractional positions:
Si: 0.203 0.432 0.120
Si: 0.823 0.608 0.192
Mg: 0.576 0.575 0.717
Si: 0.512 0.812 0.360
Mg: 0.774 0.379 0.320
Si: 0.722 0.142 0.461
Si: 0.869 0.152 0.683
Si: 0.693 0.656 0.873
Si: 0.135 0.811 0.635
Si: 0.340 0.877 0.942
Mg: 0.352 0.319 0.566
Mg: 0.053 0.307 0.943
Mg: 0.833 0.758 0.046
Mg: 0.525 0.032 0.174
Si: 0.619 0.874 0.560
Si: 0.041 0.418 0.805
Si: 0.547 0.193 0.044
Mg: 0.998 0.698 0.465
Si: 0.049 0.951 0.290
Mg: 0.335 0.006 0.803

Summary:
For the energy of formation, the calculation gives 0.1713 eV per atom. Its offset from the most stable computed form is 92 meV per atom. Its space-group type is No. 1.

***

7.
Material: Mg2Si3
Method: DFT, PBE-GGA
State: optimized geometry

Cell lengths 5.263, 3.557, 20.363 Å; angles 89.96, 80.01, 109.04 degrees
Fractional positions:
Mg: 0.113 0.354 0.813
Si: 0.560 0.580 0.124
Si: 0.018 0.807 0.687
Mg: 0.453 0.530 0.285
Si: 0.665 0.137 0.372
Si: 0.810 0.202 0.051
Si: 0.342 0.973 0.535
Mg: 0.147 0.375 0.426
Si: 0.658 0.626 0.465
Si: 0.190 0.398 0.949
Si: 0.706 0.649 0.802
Si: 0.335 0.463 0.628
Mg: 0.243 0.920 0.057
Si: 0.294 0.951 0.198
Si: 0.441 0.021 0.876
Mg: 0.887 0.245 0.187
Mg: 0.547 0.070 0.715
Mg: 0.853 0.224 0.574
Si: 0.982 0.793 0.313
Mg: 0.757 0.680 0.943

Summary:
For the energy of formation, the calculation gives 0.1812 eV per atom. Its offset from the most stable computed form is 102 meV per atom. Its space-group type is No. 2.

***

8.
Material: Mg5Si6
Method: DFT, PBE-GGA
State: optimized geometry

Cell lengths 3.960, 7.124, 14.562 Å; angles 95.09, 97.37, 89.87 degrees
Fractional positions:
Mg: 0.707 0.341 0.575
Si: 0.823 0.593 0.808
Mg: 0.497 0.593 0.155
Mg: 0.650 0.734 0.445
Si: 0.209 0.647 0.559
Mg: 0.168 0.031 0.490
Mg: 0.338 0.906 0.840
Si: 0.587 0.425 0.333
Si: 0.269 0.165 0.689
Si: 0.811 0.223 0.789
Mg: 0.752 0.858 0.658
Si: 0.943 0.375 0.056
Si: 0.279 0.533 0.709
Mg: 0.036 0.272 0.229
Si: 0.881 0.113 0.941
Mg: 0.456 0.078 0.078
Mg: 0.916 0.745 0.997
Si: 0.087 0.682 0.307
Si: 0.008 0.899 0.187
Mg: 0.381 0.415 0.922
Si: 0.558 0.989 0.298
Si: 0.145 0.384 0.438

Summary:
For the energy of formation, the calculation gives 0.1314 eV per atom. Its offset from the most stable computed form is 66 meV per atom. Its space-group type is No. 1.

***

9.
Material: Mg4Si7
Method: DFT, PBE-GGA
State: optimized geometry

Cell lengths 14.769, 14.769, 5.688 Å; angles 89.58, 89.58, 17.23 degrees
Fractional positions:
Si: 0.042 0.042 0.944
Si: 0.132 0.132 0.440
Si: 0.499 0.499 0.493
Mg: 0.772 0.772 0.451
Si: 0.411 0.411 0.485
Mg: 0.221 0.221 0.195
Si: 0.411 0.411 0.928
Si: 0.868 0.868 0.944
Mg: 0.328 0.328 0.204
Si: 0.500 0.500 0.927
Si: 0.674 0.674 0.424
Mg: 0.322 0.322 0.710
Si: 0.676 0.676 0.977
Si: 0.132 0.132 0.961
Mg: 0.585 0.585 0.201
Si: 0.771 0.771 0.952
Mg: 0.591 0.591 0.703
Si: 0.044 0.044 0.463
Si: 0.953 0.953 0.720
Mg: 0.216 0.216 0.701
Si: 0.870 0.870 0.465
Mg: 0.955 0.955 0.215

Summary:
For the energy of formation, the calculation gives 0.1496 eV per atom. Its offset from the most stable computed form is 3 meV per atom. Its space-group type is No. 8.

***

10.
Material: Mg3Si4
Method: DFT, PBE-GGA
State: optimized geometry

Cell lengths 3.935, 8.017, 9.959 Å; angles 62.08, 77.58, 70.80 degrees
Fractional positions:
Mg: 0.248 0.580 0.974
Mg: 0.647 0.185 0.763
Si: 0.130 0.975 0.237
Si: 0.102 0.659 0.246
Si: 0.391 0.221 0.241
Mg: 0.915 0.006 0.517
Mg: 0.952 0.272 0.977
Si: 0.392 0.569 0.623
Si: 0.783 0.641 0.736
Mg: 0.573 0.854 0.033
Si: 0.627 0.818 0.393
Si: 0.745 0.425 0.258
Si: 0.334 0.947 0.740
Mg: 0.168 0.347 0.509

Summary:
For the energy of formation, the calculation gives 0.2411 eV per atom. Its offset from the most stable computed form is 148 meV per atom. Its space-group type is No. 1.

***

11.
Material: Mg2Si3
Method: DFT, PBE-GGA
State: optimized geometry

Cell lengths 4.136, 5.862, 16.177 Å; angles 96.63, 89.84, 108.76 degrees
Fractional positions:
Si: 0.246 0.500 0.674
Si: 0.097 0.215 0.883
Si: 0.442 0.892 0.626
Si: 0.754 0.500 0.326
Mg: 0.642 0.276 0.754
Si: 0.076 0.152 0.455
Si: 0.507 0.015 0.923
Si: 0.924 0.848 0.545
Mg: 0.180 0.362 0.057
Si: 0.493 0.985 0.077
Mg: 0.319 0.641 0.439
Mg: 0.081 0.161 0.259
Mg: 0.919 0.839 0.741
Mg: 0.820 0.638 0.943
Mg: 0.358 0.724 0.246
Si: 0.693 0.393 0.173
Si: 0.558 0.108 0.374
Si: 0.903 0.785 0.117
Mg: 0.681 0.359 0.561
Si: 0.307 0.607 0.827

Summary:
For the energy of formation, the calculation gives 0.1390 eV per atom. Its offset from the most stable computed form is 60 meV per atom. Its space-group type is No. 2.

***

12.
Material: Mg2Si3
Method: DFT, PBE-GGA
State: optimized geometry

Cell lengths 4.933, 5.459, 14.798 Å; angles 93.91, 92.31, 92.33 degrees
Fractional positions:
Mg: 0.077 0.194 0.945
Si: 0.323 0.398 0.112
Si: 0.491 0.815 0.146
Mg: 0.993 0.811 0.234
Mg: 0.658 0.503 0.461
Si: 0.188 0.672 0.391
Si: 0.605 0.101 0.030
Si: 0.630 0.460 0.869
Si: 0.966 0.608 0.622
Mg: 0.865 0.619 0.040
Mg: 0.461 0.226 0.274
Si: 0.944 0.146 0.645
Si: 0.973 0.253 0.354
Si: 0.192 0.334 0.511
Si: 0.901 0.952 0.483
Si: 0.336 0.715 0.962
Mg: 0.461 0.439 0.694
Si: 0.514 0.016 0.855
Mg: 0.438 0.920 0.586
Mg: 0.982 0.819 0.789

Summary:
For the energy of formation, the calculation gives 0.2577 eV per atom. Its offset from the most stable computed form is 178 meV per atom. Its space-group type is No. 1.

***

13.
Material: Mg5Si6
Method: DFT, PBE-GGA
State: optimized geometry

Cell lengths 5.248, 6.355, 13.372 Å; angles 86.83, 82.27, 78.94 degrees
Fractional positions:
Si: 0.227 0.600 0.221
Si: 0.713 0.311 0.607
Mg: 0.220 0.238 0.697
Si: 0.729 0.978 0.718
Si: 0.011 0.982 0.558
Si: 0.001 0.977 0.851
Mg: 0.489 0.089 0.474
Si: 0.135 0.596 0.824
Mg: 0.866 0.306 0.007
Si: 0.808 0.109 0.198
Mg: 0.468 0.001 0.916
Mg: 0.999 0.337 0.391
Mg: 0.419 0.721 0.636
Si: 0.482 0.683 0.067
Mg: 0.317 0.147 0.147
Si: 0.083 0.913 0.324
Si: 0.344 0.425 0.969
Si: 0.855 0.732 0.466
Mg: 0.958 0.793 0.045
Mg: 0.685 0.458 0.797
Si: 0.529 0.355 0.313
Mg: 0.657 0.744 0.277

Summary:
For the energy of formation, the calculation gives 0.1131 eV per atom. Its offset from the most stable computed form is 48 meV per atom. Its space-group type is No. 1.

***

14.
Material: Mg5Si6
Method: DFT, PBE-GGA
State: optimized geometry

Cell lengths 5.175, 5.811, 13.752 Å; angles 100.82, 92.14, 100.02 degrees
Fractional positions:
Si: 0.410 0.157 0.824
Si: 0.539 0.038 0.427
Si: 0.020 0.362 0.774
Si: 0.395 0.638 0.309
Si: 0.609 0.293 0.293
Si: 0.303 0.981 0.970
Mg: 0.295 0.923 0.165
Si: 0.282 0.128 0.567
Mg: 0.812 0.015 0.057
Si: 0.486 0.622 0.918
Si: 0.234 0.832 0.682
Mg: 0.930 0.727 0.412
Mg: 0.467 0.424 0.092
Mg: 0.883 0.426 0.580
Si: 0.478 0.503 0.720
Mg: 0.973 0.503 0.971
Mg: 0.758 0.965 0.635
Mg: 0.077 0.208 0.354
Si: 0.787 0.820 0.223
Si: 0.988 0.464 0.185
Mg: 0.404 0.578 0.507
Mg: 0.873 0.892 0.834

Summary:
For the energy of formation, the calculation gives 0.1691 eV per atom. Its offset from the most stable computed form is 104 meV per atom. Its space-group type is No. 1.

***

15.
Material: Mg4Si3
Method: DFT, PBE-GGA
State: optimized geometry

Cell lengths 5.382, 7.180, 7.943 Å; angles 113.00, 94.34, 101.28 degrees
Fractional positions:
Mg: 0.597 0.513 0.735
Si: 0.013 0.974 0.859
Si: 0.646 0.101 0.374
Mg: 0.562 0.967 0.997
Mg: 0.980 0.464 0.076
Mg: 0.871 0.758 0.467
Si: 0.994 0.396 0.407
Mg: 0.433 0.934 0.596
Si: 0.125 0.634 0.743
Mg: 0.450 0.384 0.295
Si: 0.538 0.671 0.142
Mg: 0.035 0.218 0.658
Mg: 0.085 0.961 0.223
Si: 0.421 0.276 0.925

Summary:
For the energy of formation, the calculation gives 0.1188 eV per atom. Its offset from the most stable computed form is 115 meV per atom. Its space-group type is No. 1.

***

16.
Material: Mg4Si7
Method: DFT, PBE-GGA
State: optimized geometry

Cell lengths 4.026, 6.902, 15.206 Å; angles 84.59, 83.86, 88.98 degrees
Fractional positions:
Si: 0.241 0.669 0.700
Si: 0.701 0.621 0.799
Si: 0.389 0.325 0.307
Si: 0.665 0.747 0.945
Si: 0.638 0.095 0.939
Si: 0.392 0.974 0.340
Mg: 0.484 0.275 0.096
Si: 0.918 0.397 0.221
Si: 0.143 0.628 0.021
Mg: 0.316 0.816 0.515
Mg: 0.886 0.685 0.358
Mg: 0.135 0.355 0.914
Si: 0.347 0.461 0.450
Si: 0.289 0.188 0.560
Si: 0.703 0.255 0.791
Si: 0.453 0.917 0.186
Mg: 0.757 0.966 0.654
Si: 0.239 0.306 0.701
Si: 0.968 0.734 0.164
Mg: 0.790 0.492 0.580
Mg: 0.192 0.947 0.831
Mg: 0.847 0.145 0.432

Summary:
For the energy of formation, the calculation gives 0.1499 eV per atom. Its offset from the most stable computed form is 4 meV per atom. Its space-group type is No. 1.